No. 1
VASP calculation (GGA-PBE) on Li10ZnP4S16 after structural relaxation.

Output
Its space-group type is P1 (1). For the distance to the lowest polymorph of the same formula, the calculation gives 1 meV per atom. Its energy is -4.35 eV/atom. As for the MP2020-corrected energy: -4.6129 eV per atom. As for the mass density: 2.015 Mg/m³. The formation energy is -1.123 eV/atom.

Cell lengths 6.5002, 10.0001, 10.1128 Å; angles 75.33, 89.78, 89.14 degrees
Fractional coordinates of all 31 atoms:
Li: 0.3052 0.1056 0.1330
Li: 0.6649 0.3662 0.8917
Li: 0.6995 0.8824 0.3732
Li: 0.9680 0.6806 0.1293
Li: 0.6753 0.1109 0.6320
Li: 0.3170 0.8634 0.8897
Li: 0.3191 0.3858 0.3678
Li: 0.1328 0.2417 0.7486
Li: 0.8322 0.7432 0.7719
Li: 0.8486 0.2571 0.2473
Zn: 0.3013 0.6287 0.6111
P: 0.7944 0.5035 0.4943
P: 0.8162 0.9991 0.0029
P: 0.1719 0.4858 0.9915
P: 0.1752 0.9980 0.5097
S: 0.1097 0.9324 0.0620
S: 0.1062 0.4535 0.5496
S: 0.7970 0.1650 0.8330
S: 0.7497 0.6610 0.3298
S: 0.6508 0.5470 0.6656
S: 0.6765 0.0632 0.1615
S: 0.3020 0.3191 0.9385
S: 0.3274 0.8409 0.4470
S: 0.1848 0.6624 0.8205
S: 0.1890 0.1655 0.3416
S: 0.8673 0.4634 0.0448
S: 0.8776 0.9377 0.5605
S: 0.3245 0.5473 0.1383
S: 0.3147 0.0474 0.6729
S: 0.6746 0.8288 0.9698
S: 0.6754 0.3284 0.4554

***

No. 2
VASP calculation (GGA-PBE) on Li10ZnP4S16 after structural relaxation.

Output
Its space-group type is Pc (7). For the distance to the lowest polymorph of the same formula, the calculation gives 2 meV per atom. Its energy is -4.35 eV/atom. As for the MP2020-corrected energy: -4.6119 eV per atom. As for the mass density: 2.013 Mg/m³. The formation energy is -1.122 eV/atom.

Cell lengths 7.9015, 12.4192, 17.9493 Å; angles 46.28, 90.00, 90.00 degrees
Fractional coordinates of all 62 atoms:
Li: 0.2386 0.3499 0.1542
Li: 0.2456 0.8416 0.1567
Li: 0.2407 0.8421 0.6537
Li: 0.2404 0.3448 0.6548
Li: 0.2358 0.9007 0.3515
Li: 0.2544 0.4124 0.3362
Li: 0.2623 0.8983 0.8486
Li: 0.7377 0.8983 0.3486
Li: 0.7456 0.4124 0.8362
Li: 0.7642 0.9007 0.8515
Li: 0.7597 0.3448 0.1548
Li: 0.7593 0.8421 0.1537
Li: 0.7544 0.8416 0.6567
Li: 0.7614 0.3499 0.6542
Li: 0.9977 0.1639 0.0748
Li: 0.0023 0.1639 0.5748
Li: 0.4974 0.0631 0.4268
Li: 0.4890 0.5731 0.4254
Li: 0.5110 0.5731 0.9254
Li: 0.5026 0.0631 0.9268
Zn: 0.2572 0.4117 0.8381
Zn: 0.7428 0.4117 0.3381
P: 0.9919 0.0900 0.4097
P: 0.9993 0.5855 0.4107
P: 0.0007 0.5855 0.9107
P: 0.0081 0.0900 0.9097
P: 0.4929 0.1592 0.0924
P: 0.4985 0.6537 0.0956
P: 0.5015 0.6537 0.5956
P: 0.5071 0.1592 0.5924
S: 0.0010 0.3776 0.0580
S: 0.0052 0.8920 0.0565
S: 0.9948 0.8920 0.5565
S: 0.9990 0.3776 0.5580
S: 0.9875 0.7483 0.4096
S: 0.9941 0.2712 0.3995
S: 0.0059 0.2712 0.8995
S: 0.0125 0.7483 0.9096
S: 0.2086 0.1141 0.3356
S: 0.2125 0.6061 0.3357
S: 0.2236 0.6036 0.8365
S: 0.2217 0.1099 0.8353
S: 0.2800 0.0309 0.1649
S: 0.2813 0.5383 0.1588
S: 0.2787 0.5311 0.6647
S: 0.2915 0.0324 0.6607
S: 0.4966 0.3207 0.0962
S: 0.5022 0.8158 0.1001
S: 0.4978 0.8158 0.6001
S: 0.5034 0.3207 0.5962
S: 0.4856 0.7525 0.4444
S: 0.5043 0.2565 0.4385
S: 0.4957 0.2565 0.9385
S: 0.5144 0.7525 0.9444
S: 0.7085 0.0324 0.1607
S: 0.7213 0.5311 0.1647
S: 0.7187 0.5383 0.6588
S: 0.7200 0.0309 0.6649
S: 0.7783 0.1099 0.3353
S: 0.7764 0.6036 0.3365
S: 0.7875 0.6061 0.8357
S: 0.7914 0.1141 0.8356

***

No. 3
VASP calculation (GGA-PBE) on Li10ZnP4S16 after structural relaxation.

Output
Its space-group type is P1 (1). For the distance to the lowest polymorph of the same formula, the calculation gives 2 meV per atom. Its energy is -4.35 eV/atom. As for the MP2020-corrected energy: -4.6118 eV per atom. As for the mass density: 2.008 Mg/m³. The formation energy is -1.122 eV/atom.

Cell lengths 6.1842, 10.2346, 10.2788 Å; angles 78.85, 89.75, 89.92 degrees
Fractional coordinates of all 31 atoms:
Li: 0.0055 0.5360 0.2207
Li: 0.4951 0.2131 0.5334
Li: 0.4982 0.7206 0.0286
Li: 0.4931 0.9795 0.2666
Li: 0.4981 0.4625 0.7945
Li: 0.9958 0.7814 0.4554
Li: 0.9957 0.2701 0.9724
Li: 0.4890 0.5708 0.4305
Li: 0.9948 0.1706 0.3150
Li: 0.9875 0.6753 0.8239
Zn: 0.9947 0.0336 0.7304
P: 0.0034 0.4071 0.5997
P: 0.0080 0.9074 0.0812
P: 0.4855 0.8403 0.6548
P: 0.4981 0.3472 0.1647
S: 0.8909 0.5508 0.4476
S: 0.8661 0.0550 0.9372
S: 0.3347 0.4003 0.6039
S: 0.3331 0.9163 0.0769
S: 0.8920 0.2232 0.5628
S: 0.8953 0.7259 0.0498
S: 0.3776 0.0183 0.6960
S: 0.3986 0.5284 0.2053
S: 0.8278 0.8539 0.6477
S: 0.8331 0.3491 0.1564
S: 0.3936 0.1947 0.3148
S: 0.3909 0.6891 0.8043
S: 0.3927 0.8056 0.4732
S: 0.3829 0.3122 0.9912
S: 0.8874 0.9447 0.2592
S: 0.8912 0.4414 0.7775

***

No. 4
VASP calculation (GGA-PBE) on Li7PSe6 after structural relaxation.

Output
Its space-group type is Pna2_1 (33). Its energy is -3.79 eV/atom. As for the MP2020-corrected energy: -3.9952 eV per atom. As for the mass density: 3.134 Mg/m³. The formation energy is -1.156 eV/atom.

Cell lengths 7.5226, 10.3770, 15.0240 Å; angles 90.00, 90.00, 90.00 degrees
Fractional coordinates of all 56 atoms:
Li: 0.2385 0.1927 0.3176
Li: 0.7615 0.6927 0.6824
Li: 0.2615 0.1927 0.8176
Li: 0.7385 0.6927 0.1824
Li: 0.9742 0.4773 0.2693
Li: 0.0258 0.9773 0.7307
Li: 0.5258 0.4773 0.7693
Li: 0.4742 0.9773 0.2307
Li: 0.1699 0.3295 0.0270
Li: 0.8301 0.8295 0.9730
Li: 0.3301 0.3295 0.5270
Li: 0.6699 0.8295 0.4730
Li: 0.0589 0.0055 0.1088
Li: 0.9411 0.5055 0.8912
Li: 0.4411 0.0055 0.6088
Li: 0.5589 0.5055 0.3912
Li: 0.4484 0.9850 0.0448
Li: 0.5516 0.4850 0.9552
Li: 0.0516 0.9850 0.5448
Li: 0.9484 0.4850 0.4552
Li: 0.3858 0.3837 0.2183
Li: 0.6142 0.8837 0.7817
Li: 0.1142 0.3837 0.7183
Li: 0.8858 0.8837 0.2817
Li: 0.6516 0.1712 0.1285
Li: 0.3484 0.6712 0.8715
Li: 0.8484 0.1712 0.6285
Li: 0.1516 0.6712 0.3715
P: 0.2322 0.6848 0.1156
P: 0.7678 0.1848 0.8844
P: 0.2678 0.6848 0.6156
P: 0.7322 0.1848 0.3844
Se: 0.2378 0.4293 0.3703
Se: 0.7622 0.9293 0.6297
Se: 0.2622 0.4293 0.8703
Se: 0.7378 0.9293 0.1297
Se: 0.7220 0.3112 0.2651
Se: 0.2780 0.8112 0.7349
Se: 0.7780 0.3112 0.7651
Se: 0.2220 0.8112 0.2349
Se: 0.3026 0.1687 0.1436
Se: 0.6974 0.6687 0.8564
Se: 0.1974 0.1687 0.6436
Se: 0.8026 0.6687 0.3564
Se: 0.5038 0.0493 0.3942
Se: 0.4962 0.5493 0.6058
Se: 0.9962 0.0493 0.8942
Se: 0.0038 0.5493 0.1058
Se: 0.9798 0.0663 0.3864
Se: 0.0202 0.5663 0.6136
Se: 0.5202 0.0663 0.8864
Se: 0.4798 0.5663 0.1136
Se: 0.2108 0.8149 0.9980
Se: 0.7892 0.3149 0.0020
Se: 0.2892 0.8149 0.4980
Se: 0.7108 0.3149 0.5020

***

No. 5
VASP calculation (GGA-PBE) on Li10SiP2Se12 after structural relaxation.

Output
Its space-group type is P4_2mc (105). For the distance to the lowest polymorph of the same formula, the calculation gives 11 meV per atom. Its energy is -3.93 eV/atom. As for the MP2020-corrected energy: -4.1554 eV per atom. As for the mass density: 3.219 Mg/m³. The formation energy is -1.064 eV/atom.

Cell lengths 9.2635, 9.2635, 13.3097 Å; angles 90.00, 90.00, 90.00 degrees
Fractional coordinates of all 50 atoms:
Li: 0.2321 0.2739 0.2953
Li: 0.7679 0.7261 0.2953
Li: 0.2739 0.7679 0.7953
Li: 0.7261 0.2321 0.7953
Li: 0.2321 0.7261 0.2953
Li: 0.7679 0.2739 0.2953
Li: 0.2739 0.2321 0.7953
Li: 0.7261 0.7679 0.7953
Li: 0.0000 0.0000 0.9415
Li: 0.0000 0.0000 0.4415
Li: 0.5000 0.5000 0.5465
Li: 0.5000 0.5000 0.0465
Li: 0.2597 0.7273 0.0347
Li: 0.7403 0.2727 0.0347
Li: 0.2727 0.2597 0.5347
Li: 0.7273 0.7403 0.5347
Li: 0.2727 0.7403 0.5347
Li: 0.7273 0.2597 0.5347
Li: 0.2597 0.2727 0.0347
Li: 0.7403 0.7273 0.0347
Si: 0.5000 0.5000 0.8012
Si: 0.5000 0.5000 0.3012
P: 0.0000 0.0000 0.6857
P: 0.0000 0.0000 0.1857
P: 0.0000 0.5000 0.5041
P: 0.5000 0.0000 0.0041
Se: 0.0000 0.6997 0.4091
Se: 0.0000 0.3003 0.4091
Se: 0.3003 0.0000 0.9091
Se: 0.6997 0.0000 0.9091
Se: 0.5000 0.1941 0.1019
Se: 0.5000 0.8059 0.1019
Se: 0.1941 0.5000 0.6019
Se: 0.8059 0.5000 0.6019
Se: 0.0000 0.7973 0.0930
Se: 0.0000 0.2027 0.0930
Se: 0.2027 0.0000 0.5930
Se: 0.7973 0.0000 0.5930
Se: 0.5000 0.2933 0.3998
Se: 0.5000 0.7067 0.3998
Se: 0.2933 0.5000 0.8998
Se: 0.7067 0.5000 0.8998
Se: 0.0000 0.1977 0.7794
Se: 0.0000 0.8023 0.7794
Se: 0.8023 0.0000 0.2794
Se: 0.1977 0.0000 0.2794
Se: 0.5000 0.7022 0.7009
Se: 0.5000 0.2978 0.7009
Se: 0.7022 0.5000 0.2009
Se: 0.2978 0.5000 0.2009

***

No. 6
VASP calculation (GGA-PBE) on Li10SiP2Se12 after structural relaxation.

Output
Its space-group type is P1 (1). For the distance to the lowest polymorph of the same formula, the calculation gives 0 meV per atom. Its energy is -3.94 eV/atom. As for the MP2020-corrected energy: -4.1664 eV per atom. As for the mass density: 3.188 Mg/m³. The formation energy is -1.075 eV/atom.

Cell lengths 9.0300, 9.3701, 13.6383 Å; angles 91.75, 90.68, 90.35 degrees
Fractional coordinates of all 50 atoms:
Li: 0.9885 0.5161 0.9556
Li: 0.9662 0.5168 0.4247
Li: 0.5090 0.9664 0.5475
Li: 0.4971 0.9926 0.0478
Li: 0.2566 0.2922 0.1581
Li: 0.7463 0.7468 0.2811
Li: 0.2185 0.8179 0.7555
Li: 0.2306 0.7555 0.2511
Li: 0.7538 0.2199 0.3496
Li: 0.4624 0.5170 0.7515
Li: 0.2300 0.2271 0.3639
Li: 0.7311 0.2564 0.8568
Li: 0.2479 0.7602 0.0069
Li: 0.7416 0.2659 0.1330
Li: 0.7632 0.7263 0.6905
Li: 0.2250 0.2614 0.9198
Li: 0.7451 0.7594 0.0091
Li: 0.2415 0.7219 0.4841
Li: 0.7844 0.2138 0.6256
Li: 0.2412 0.2107 0.6499
Si: 0.9971 0.4859 0.1830
Si: 0.5077 0.9927 0.8163
P: 0.9930 0.9656 0.5016
P: 0.4921 0.5153 0.9929
P: 0.0091 0.4818 0.6844
P: 0.4877 0.0096 0.3104
Se: 0.9886 0.1839 0.4437
Se: 0.0053 0.7906 0.3858
Se: 0.2885 0.5346 0.8980
Se: 0.6897 0.5338 0.8956
Se: 0.4967 0.6985 0.1018
Se: 0.4852 0.3044 0.0614
Se: 0.2030 0.9454 0.5908
Se: 0.7956 0.9455 0.5938
Se: 0.0057 0.2977 0.0688
Se: 0.0002 0.7041 0.1073
Se: 0.2197 0.4856 0.5988
Se: 0.8089 0.4916 0.5868
Se: 0.4869 0.7944 0.3762
Se: 0.4962 0.1842 0.4254
Se: 0.2881 0.9906 0.9039
Se: 0.7117 0.9963 0.9170
Se: 0.9917 0.6662 0.7915
Se: 0.0033 0.2741 0.7614
Se: 0.7824 0.4668 0.2699
Se: 0.1970 0.4796 0.2894
Se: 0.5157 0.1974 0.7246
Se: 0.4929 0.8005 0.7056
Se: 0.6919 0.0148 0.2186
Se: 0.2858 0.0313 0.2163

***

No. 7
VASP calculation (GGA-PBE) on Li5SnP3 after structural relaxation.

Output
Its space-group type is C2/c (15). Its energy is -3.84 eV/atom. As for the mass density: 2.527 Mg/m³. The formation energy is -0.529 eV/atom.

Cell lengths 7.3312, 7.3312, 8.4987 Å; angles 73.14, 73.14, 48.37 degrees
Fractional coordinates of all 18 atoms:
Li: 0.0829 0.5765 0.0904
Li: 0.5790 0.0887 0.0760
Li: 0.4235 0.9171 0.4096
Li: 0.0887 0.5790 0.5760
Li: 0.7531 0.2469 0.7500
Li: 0.5765 0.0829 0.5904
Li: 0.4210 0.9113 0.9240
Li: 0.9171 0.4235 0.9096
Li: 0.2469 0.7531 0.2500
Li: 0.9113 0.4210 0.4240
Sn: 0.2663 0.7337 0.7500
Sn: 0.7337 0.2663 0.2500
P: 0.0000 0.0000 0.0000
P: 0.0000 0.0000 0.5000
P: 0.3248 0.3446 0.8297
P: 0.6752 0.6554 0.1703
P: 0.3446 0.3248 0.3297
P: 0.6554 0.6752 0.6703

***

No. 8
VASP calculation (GGA-PBE) on SrLiP after structural relaxation.

Output
Its space-group type is P-6m2 (187). The calculation puts the maximum piezoelectric response at 0.88 C/m². Its energy is -3.90 eV/atom. As for the mass density: 3.064 Mg/m³. The formation energy is -0.898 eV/atom.

Cell lengths 4.2581, 4.2955, 4.2955 Å; angles 120.00, 90.00, 90.00 degrees
Fractional coordinates of all 3 atoms:
Sr: 0.0000 0.6667 0.3333
Li: 0.5000 0.0000 0.0000
P: 0.5000 0.3333 0.6667

***

No. 9
VASP calculation (GGA-PBE) on SrLiP after structural relaxation.

Output
Its space-group type is P6_3/mmc (194). Its energy is -3.98 eV/atom. As for the mass density: 3.106 Mg/m³. The formation energy is -0.978 eV/atom.

Cell lengths 4.3848, 4.3848, 8.0627 Å; angles 90.00, 90.00, 120.00 degrees
Fractional coordinates of all 6 atoms:
Sr: 0.0000 0.0000 0.0000
Sr: 0.0000 0.0000 0.5000
Li: 0.3333 0.6667 0.2500
Li: 0.6667 0.3333 0.7500
P: 0.3333 0.6667 0.7500
P: 0.6667 0.3333 0.2500

***

No. 10
VASP calculation (GGA-PBE) on SrLi4P2 after structural relaxation.

Output
Its space-group type is R-3m (166). Its energy is -3.71 eV/atom. As for the mass density: 2.347 Mg/m³. The formation energy is -0.830 eV/atom.

Cell lengths 8.2365, 8.2365, 8.2365 Å; angles 30.23, 30.23, 30.23 degrees
Fractional coordinates of all 7 atoms:
Sr: 0.0000 0.0000 0.0000
Li: 0.4294 0.4294 0.4294
Li: 0.1377 0.1377 0.1377
Li: 0.5706 0.5706 0.5706
Li: 0.8623 0.8623 0.8623
P: 0.7539 0.7539 0.7539
P: 0.2461 0.2461 0.2461

***

No. 11
VASP calculation (GGA-PBE) on Li5TiP3 after structural relaxation.

Output
Its space-group type is C2/c (15). Its energy is -4.50 eV/atom. As for the mass density: 1.941 Mg/m³. The formation energy is -0.757 eV/atom.

Cell lengths 7.1622, 7.1622, 8.2373 Å; angles 73.31, 73.31, 48.48 degrees
Fractional coordinates of all 18 atoms:
Li: 0.4285 0.9149 0.9038
Li: 0.0851 0.5715 0.5962
Li: 0.4172 0.9261 0.4246
Li: 0.9149 0.4285 0.4038
Li: 0.7336 0.2664 0.2500
Li: 0.0739 0.5828 0.0754
Li: 0.5715 0.0851 0.0962
Li: 0.9261 0.4172 0.9246
Li: 0.2664 0.7336 0.7500
Li: 0.5828 0.0739 0.5754
Ti: 0.7667 0.2333 0.7500
Ti: 0.2333 0.7667 0.2500
P: 0.0000 0.0000 0.0000
P: 0.0000 0.0000 0.5000
P: 0.6245 0.6833 0.1735
P: 0.3755 0.3167 0.8265
P: 0.6833 0.6245 0.6735
P: 0.3167 0.3755 0.3265

***

No. 12
VASP calculation (GGA-PBE) on Li7VP4 after structural relaxation.

Output
Its space-group type is P1 (1). Its energy is -3.90 eV/atom. As for the mass density: 2.338 Mg/m³. The formation energy is -0.225 eV/atom.

Cell lengths 4.5419, 8.0904, 9.1460 Å; angles 87.91, 103.81, 103.40 degrees
Fractional coordinates of all 24 atoms:
Li: 0.7687 0.8490 0.6383
Li: 0.0917 0.1137 0.4736
Li: 0.0761 0.4460 0.7185
Li: 0.2061 0.8067 0.4687
Li: 0.3415 0.2223 0.8021
Li: 0.5526 0.6517 0.3316
Li: 0.2503 0.7255 0.7953
Li: 0.5637 0.0761 0.2677
Li: 0.6144 0.5181 0.6902
Li: 0.9664 0.9039 0.1927
Li: 0.5562 0.3235 0.4413
Li: 0.0851 0.2537 0.1771
Li: 0.7884 0.1585 0.6561
Li: 0.0945 0.4563 0.4609
V: 0.0440 0.5456 0.0349
V: 0.6664 0.9980 0.9218
P: 0.2319 0.0542 0.0189
P: 0.3314 0.9779 0.6749
P: 0.8054 0.7407 0.8870
P: 0.4737 0.5062 0.9280
P: 0.4187 0.8219 0.0917
P: 0.0081 0.6312 0.2644
P: 0.6616 0.3945 0.2008
P: 0.8957 0.2826 0.9000